Compound: MgCo2B2O6
Source: Materials Project
Functional: PBE with a Hubbard U
Structure: relaxed

magnetic moment: 6.00 μB per formula unit
VASP energy: -6.9143 eV per atom
energy relative to the elements: -2373 kJ/mol of formula units
volume: 12.640 A^3/atom
crystal system: triclinic

Lattice parameters (Å, degrees): 6.8372 5.1533 5.0733 59.75 101.13 76.14
With the nearest neighbours (Å) after each atom.
Fractional positions:
Co1 0.3246 0.8151 0.8458  3 O 1.89-1.94
Co2 0.6842 0.1855 0.1635  4 O 1.96-2.06
O1 0.1833 0.1778 0.8584  1 B 1.40
O2 0.7053 0.6017 0.1073  1 B 1.41
O3 0.7554 0.1038 0.8457  1 B 1.38
O4 0.7937 0.7885 0.6208  1 B 1.38
O5 0.1875 0.0294 0.3872  1 B 1.35
O6 0.3840 0.3535 0.1274  1 B 1.41
B1 0.7520 0.8337 0.8533  3 O 1.38-1.41
B2 0.2504 0.1832 0.1327  3 O 1.35-1.41
Mg1 0.8754 0.4152 0.5829  4 O 1.95-2.04

Compound: Mg14CoBO16
Source: Materials Project
Functional: PBE with a Hubbard U
Structure: relaxed

energy relative to the lowest polymorph listed for this composition: 0 meV/atom
magnetic moment: 2.00 μB per formula unit
VASP energy: -5.9820 eV per atom
energy relative to the elements: -8558 kJ/mol of formula units
volume: 9.611 A^3/atom
crystal system: orthorhombic

Lattice parameters (Å, degrees): 8.5638 8.4260 4.2623 90.00 90.00 90.00
With the nearest neighbours (Å) after each atom.
Fractional positions:
O1 0.2634 0.5000 0.0000  5 Mg 2.03-2.14, 1 B 2.26
O2 0.7541 0.0000 0.0000  1 Co 2.11, 5 Mg 2.13-2.18
O3 0.2454 0.2494 0.5000  6 Mg 2.10-2.18
O4 0.2459 0.0000 0.0000  1 Co 2.11, 5 Mg 2.13-2.18
O5 0.2454 0.7506 0.5000  6 Mg 2.10-2.18
O6 0.5000 0.0000 0.5000  6 Mg 2.11-2.18
O7 0.7546 0.2494 0.5000  6 Mg 2.10-2.18
O8 0.0000 0.5000 0.5000  4 Mg 2.03-2.12, 2 B 2.13
O9 0.0000 0.3355 0.0000  1 B 1.39
O10 0.5000 0.5000 0.5000  6 Mg 2.10-2.16
O11 0.5000 0.7539 0.0000  6 Mg 2.07-2.14
O12 0.7546 0.7506 0.5000  6 Mg 2.10-2.18
O13 0.0000 0.6645 0.0000  1 B 1.39
O14 0.5000 0.2461 0.0000  6 Mg 2.07-2.14
O15 0.0000 0.0000 0.5000  4 Mg 2.11-2.18, 2 Co 2.13
O16 0.7366 0.5000 0.0000  5 Mg 2.03-2.14, 1 B 2.26
Mg1 0.7490 0.2552 0.0000  6 O 2.07-2.25
Mg2 0.7524 0.5000 0.5000  6 O 2.11-2.16
Mg3 0.5000 0.5000 0.0000  6 O 2.03-2.14
Mg4 0.0000 0.2591 0.5000  6 O 2.03-2.23
Mg5 0.2510 0.2552 0.0000  6 O 2.07-2.25
Mg6 0.5000 0.0000 0.0000  6 O 2.07-2.18
Mg7 0.2476 0.5000 0.5000  6 O 2.11-2.16
Mg8 0.0000 0.7409 0.5000  6 O 2.03-2.23
Mg9 0.2510 0.7448 0.0000  6 O 2.07-2.25
Mg10 0.7541 0.0000 0.5000  6 O 2.10-2.18
Mg11 0.7490 0.7448 0.0000  6 O 2.07-2.25
Mg12 0.5000 0.2503 0.5000  6 O 2.10-2.18
Mg13 0.2459 0.0000 0.5000  6 O 2.10-2.18
Mg14 0.5000 0.7497 0.5000  6 O 2.10-2.18
B1 0.0000 0.5000 0.0000  2 O 1.39
Co1 0.0000 0.0000 0.0000  4 O 2.11-2.13

> The highest volume belongs to which entry?

MgCo2B2O6

Copy entry 1 word for word.
Compound: MgCo2B2O6
Source: Materials Project
Functional: PBE with a Hubbard U
Structure: relaxed

magnetic moment: 6.00 μB per formula unit
VASP energy: -6.9143 eV per atom
energy relative to the elements: -2373 kJ/mol of formula units
volume: 12.640 A^3/atom
crystal system: triclinic

Lattice parameters (Å, degrees): 6.8372 5.1533 5.0733 59.75 101.13 76.14
With the nearest neighbours (Å) after each atom.
Fractional positions:
Co1 0.3246 0.8151 0.8458  3 O 1.89-1.94
Co2 0.6842 0.1855 0.1635  4 O 1.96-2.06
O1 0.1833 0.1778 0.8584  1 B 1.40
O2 0.7053 0.6017 0.1073  1 B 1.41
O3 0.7554 0.1038 0.8457  1 B 1.38
O4 0.7937 0.7885 0.6208  1 B 1.38
O5 0.1875 0.0294 0.3872  1 B 1.35
O6 0.3840 0.3535 0.1274  1 B 1.41
B1 0.7520 0.8337 0.8533  3 O 1.38-1.41
B2 0.2504 0.1832 0.1327  3 O 1.35-1.41
Mg1 0.8754 0.4152 0.5829  4 O 1.95-2.04

Please write out number 2 again, unchanged.
Compound: Mg14CoBO16
Source: Materials Project
Functional: PBE with a Hubbard U
Structure: relaxed

energy relative to the lowest polymorph listed for this composition: 0 meV/atom
magnetic moment: 2.00 μB per formula unit
VASP energy: -5.9820 eV per atom
energy relative to the elements: -8558 kJ/mol of formula units
volume: 9.611 A^3/atom
crystal system: orthorhombic

Lattice parameters (Å, degrees): 8.5638 8.4260 4.2623 90.00 90.00 90.00
With the nearest neighbours (Å) after each atom.
Fractional positions:
O1 0.2634 0.5000 0.0000  5 Mg 2.03-2.14, 1 B 2.26
O2 0.7541 0.0000 0.0000  1 Co 2.11, 5 Mg 2.13-2.18
O3 0.2454 0.2494 0.5000  6 Mg 2.10-2.18
O4 0.2459 0.0000 0.0000  1 Co 2.11, 5 Mg 2.13-2.18
O5 0.2454 0.7506 0.5000  6 Mg 2.10-2.18
O6 0.5000 0.0000 0.5000  6 Mg 2.11-2.18
O7 0.7546 0.2494 0.5000  6 Mg 2.10-2.18
O8 0.0000 0.5000 0.5000  4 Mg 2.03-2.12, 2 B 2.13
O9 0.0000 0.3355 0.0000  1 B 1.39
O10 0.5000 0.5000 0.5000  6 Mg 2.10-2.16
O11 0.5000 0.7539 0.0000  6 Mg 2.07-2.14
O12 0.7546 0.7506 0.5000  6 Mg 2.10-2.18
O13 0.0000 0.6645 0.0000  1 B 1.39
O14 0.5000 0.2461 0.0000  6 Mg 2.07-2.14
O15 0.0000 0.0000 0.5000  4 Mg 2.11-2.18, 2 Co 2.13
O16 0.7366 0.5000 0.0000  5 Mg 2.03-2.14, 1 B 2.26
Mg1 0.7490 0.2552 0.0000  6 O 2.07-2.25
Mg2 0.7524 0.5000 0.5000  6 O 2.11-2.16
Mg3 0.5000 0.5000 0.0000  6 O 2.03-2.14
Mg4 0.0000 0.2591 0.5000  6 O 2.03-2.23
Mg5 0.2510 0.2552 0.0000  6 O 2.07-2.25
Mg6 0.5000 0.0000 0.0000  6 O 2.07-2.18
Mg7 0.2476 0.5000 0.5000  6 O 2.11-2.16
Mg8 0.0000 0.7409 0.5000  6 O 2.03-2.23
Mg9 0.2510 0.7448 0.0000  6 O 2.07-2.25
Mg10 0.7541 0.0000 0.5000  6 O 2.10-2.18
Mg11 0.7490 0.7448 0.0000  6 O 2.07-2.25
Mg12 0.5000 0.2503 0.5000  6 O 2.10-2.18
Mg13 0.2459 0.0000 0.5000  6 O 2.10-2.18
Mg14 0.5000 0.7497 0.5000  6 O 2.10-2.18
B1 0.0000 0.5000 0.0000  2 O 1.39
Co1 0.0000 0.0000 0.0000  4 O 2.11-2.13